Here is a relaxed structure of ZnTe2O5 from the Materials Project database. Energies are from PBE-GGA.

Computed properties:
* mass density: 5.46 g/cm³
* total energy after the MP2020 corrections: -5.605 eV per atom
* symmetry: Pnma, No. 62
* final energy: -5.176 eV per atom
* distance to the lowest polymorph of the same formula: 0 meV/atom

Lattice parameters (Å, degrees): 8.6533 9.1125 12.3594 90.00 90.00 90.00
Closest atoms and distances in Å follow each position.
Fractional coordinates of all 64 atoms:
O 0.1335 0.4685 0.2500  1 Te 1.91, 2 Zn 2.09
O 0.8796 0.6180 0.9878  1 Te 1.91, 1 Zn 2.11
O 0.0933 0.9917 0.3723  2 Te 1.99-2.04
O 0.6503 0.8085 0.8858  1 Te 1.90
O 0.8796 0.6180 0.5122  1 Te 1.91, 1 Zn 2.11
O 0.3420 0.8763 0.7500  1 Te 1.92
O 0.9067 0.0083 0.6277  2 Te 1.99-2.04
O 0.6204 0.1180 0.9878  1 Te 1.91, 1 Zn 2.11
O 0.3796 0.8820 0.4878  1 Te 1.91, 1 Zn 2.11
O 0.1580 0.3763 0.7500  1 Te 1.92
O 0.6204 0.1180 0.5122  1 Te 1.91, 1 Zn 2.11
O 0.1777 0.6561 0.6305  1 Te 1.91, 1 Zn 2.08
O 0.8665 0.5315 0.7500  1 Te 1.91, 2 Zn 2.09
O 0.5933 0.5083 0.6277  2 Te 1.99-2.04
O 0.8497 0.3085 0.8858  1 Te 1.90
O 0.5933 0.5083 0.8723  2 Te 1.99-2.04
O 0.8223 0.3439 0.1305  1 Te 1.91, 1 Zn 2.08
O 0.3497 0.1915 0.3858  1 Te 1.90
O 0.3497 0.1915 0.1142  1 Te 1.90
O 0.8497 0.3085 0.6142  1 Te 1.90
O 0.6777 0.8439 0.1305  1 Te 1.91, 1 Zn 2.08
O 0.9067 0.0083 0.8723  2 Te 1.99-2.04
O 0.6777 0.8439 0.3695  1 Te 1.91, 1 Zn 2.08
O 0.1204 0.3820 0.4878  1 Te 1.91, 1 Zn 2.11
O 0.6580 0.1237 0.2500  1 Te 1.92
O 0.1503 0.6915 0.3858  1 Te 1.90
O 0.3796 0.8820 0.0122  1 Te 1.91, 1 Zn 2.11
O 0.1204 0.3820 0.0122  1 Te 1.91, 1 Zn 2.11
O 0.3223 0.1561 0.8695  1 Te 1.91, 1 Zn 2.08
O 0.6335 0.0315 0.7500  1 Te 1.91, 2 Zn 2.09
O 0.3223 0.1561 0.6305  1 Te 1.91, 1 Zn 2.08
O 0.8420 0.6237 0.2500  1 Te 1.92
O 0.4067 0.4917 0.1277  2 Te 1.99-2.04
O 0.3665 0.9685 0.2500  1 Te 1.91, 2 Zn 2.09
O 0.1777 0.6561 0.8695  1 Te 1.91, 1 Zn 2.08
O 0.1503 0.6915 0.1142  1 Te 1.90
O 0.4067 0.4917 0.3723  2 Te 1.99-2.04
O 0.6503 0.8085 0.6142  1 Te 1.90
O 0.0933 0.9917 0.1277  2 Te 1.99-2.04
O 0.8223 0.3439 0.3695  1 Te 1.91, 1 Zn 2.08
Zn 0.4816 0.9852 0.6230  6 O 2.08-2.22
Zn 0.4816 0.9852 0.8770  6 O 2.08-2.22
Zn 0.5184 0.0148 0.1230  6 O 2.08-2.22
Zn 0.5184 0.0148 0.3770  6 O 2.08-2.22
Zn 0.9816 0.5148 0.3770  6 O 2.08-2.22
Zn 0.0184 0.4852 0.8770  6 O 2.08-2.22
Zn 0.0184 0.4852 0.6230  6 O 2.08-2.22
Zn 0.9816 0.5148 0.1230  6 O 2.08-2.22
Te 0.8014 0.8952 0.7500  3 O 1.91-2.04
Te 0.8178 0.8333 0.2500  3 O 1.91-1.92
Te 0.3014 0.6048 0.2500  3 O 1.91-2.04
Te 0.1614 0.8505 0.0146  3 O 1.90-1.99
Te 0.8386 0.1495 0.9854  3 O 1.90-1.99
Te 0.3386 0.3505 0.0146  3 O 1.90-1.99
Te 0.1614 0.8505 0.4854  3 O 1.90-1.99
Te 0.6614 0.6495 0.5146  3 O 1.90-1.99
Te 0.6822 0.3333 0.2500  3 O 1.91-1.92
Te 0.1822 0.1667 0.7500  3 O 1.91-1.92
Te 0.1986 0.1048 0.2500  3 O 1.91-2.04
Te 0.6614 0.6495 0.9854  3 O 1.90-1.99
Te 0.8386 0.1495 0.5146  3 O 1.90-1.99
Te 0.3178 0.6667 0.7500  3 O 1.91-1.92
Te 0.6986 0.3952 0.7500  3 O 1.91-2.04
Te 0.3386 0.3505 0.4854  3 O 1.90-1.99